Here is a geometry-optimized ZnSi4H35C13ClO structure from Materials Project. Energies are from GGA-PBE.

a = 10.1455 Å, b = 13.3661 Å, c = 21.6456 Å
α = 90.00°, β = 90.00°, γ = 104.83°
Last column: nearest neighbours and their distance in Å.
Atoms (fractional coordinates):
Zn  0.4231  0.4231  0.5622  1 O 2.34, 1 Si 2.39, 2 Cl 2.41-2.43
Zn  0.9231  0.9231  0.9378  1 O 2.34, 1 Si 2.39, 2 Cl 2.41-2.43
Zn  0.5769  0.5769  0.4378  1 O 2.34, 1 Si 2.39, 2 Cl 2.41-2.43
Zn  0.0769  0.0769  0.0622  1 O 2.34, 1 Si 2.39, 2 Cl 2.41-2.43
Si  0.3897  0.2689  0.6227  3 Si 2.36-2.37, 1 Zn 2.39
Si  0.8897  0.7689  0.8773  3 Si 2.36-2.37, 1 Zn 2.39
Si  0.6103  0.7311  0.3773  3 Si 2.36-2.37, 1 Zn 2.39
Si  0.1103  0.2311  0.1227  3 Si 2.36-2.37, 1 Zn 2.39
Si  0.6097  0.2458  0.6405  3 C 1.89
Si  0.1097  0.7458  0.8595  3 C 1.89
Si  0.3903  0.7542  0.3595  3 C 1.89
Si  0.8903  0.2542  0.1405  3 C 1.89
Si  0.2886  0.2809  0.7201  3 C 1.89
Si  0.7886  0.7809  0.7799  3 C 1.89
Si  0.7114  0.7191  0.2799  3 C 1.89
Si  0.2114  0.2191  0.2201  3 C 1.89
Si  0.2573  0.1294  0.5647  3 C 1.89
Si  0.7573  0.6294  0.9353  3 C 1.89
Si  0.7427  0.8706  0.4353  3 C 1.89
Si  0.2427  0.3706  0.0647  3 C 1.89
H  0.5613  0.0514  0.6389  1 C 1.10
H  0.0613  0.5514  0.8611  1 C 1.10
H  0.4387  0.9486  0.3611  1 C 1.10
H  0.9387  0.4486  0.1389  1 C 1.10
H  0.5623  0.0970  0.7162  1 C 1.10
H  0.0623  0.5970  0.7838  1 C 1.10
H  0.4377  0.9030  0.2838  1 C 1.10
H  0.9377  0.4030  0.2162  1 C 1.10
H  0.7185  0.1105  0.6755  1 C 1.10
H  0.2185  0.6105  0.8245  1 C 1.10
H  0.2815  0.8895  0.3245  1 C 1.10
H  0.7815  0.3895  0.1755  1 C 1.10
H  0.6701  0.2089  0.5314  1 C 1.10
H  0.1701  0.7089  0.9686  1 C 1.10
H  0.3299  0.7911  0.4686  1 C 1.10
H  0.8299  0.2911  0.0314  1 C 1.10
H  0.8166  0.2548  0.5788  1 C 1.10
H  0.3166  0.7548  0.9212  1 C 1.10
H  0.1834  0.7452  0.4212  1 C 1.10
H  0.6834  0.2452  0.0788  1 C 1.10
H  0.7276  0.3434  0.5487  1 C 1.10
H  0.2276  0.8434  0.9513  1 C 1.10
H  0.2724  0.6566  0.4513  1 C 1.10
H  0.7724  0.1566  0.0487  1 C 1.10
H  0.6575  0.3366  0.7436  1 C 1.10
H  0.1575  0.8366  0.7564  1 C 1.10
H  0.3425  0.6634  0.2564  1 C 1.10
H  0.8425  0.1634  0.2436  1 C 1.10
H  0.7192  0.4230  0.6814  1 C 1.10
H  0.2192  0.9230  0.8186  1 C 1.10
H  0.2808  0.5770  0.3186  1 C 1.10
H  0.7808  0.0770  0.1814  1 C 1.10
H  0.8092  0.3307  0.7041  1 C 1.10
H  0.3092  0.8307  0.7959  1 C 1.10
H  0.1908  0.6693  0.2959  1 C 1.10
H  0.6908  0.1693  0.2041  1 C 1.10
H  0.4278  0.1907  0.7858  1 C 1.10
H  0.9278  0.6907  0.7142  1 C 1.10
H  0.5722  0.8093  0.2142  1 C 1.10
H  0.0722  0.3093  0.2858  1 C 1.10
H  0.2723  0.1028  0.7631  1 C 1.10
H  0.7723  0.6028  0.7369  1 C 1.10
H  0.7277  0.8972  0.2369  1 C 1.10
H  0.2277  0.3972  0.2631  1 C 1.10
H  0.2722  0.1953  0.8221  1 C 1.10
H  0.7722  0.6953  0.6779  1 C 1.10
H  0.7278  0.8047  0.1779  1 C 1.10
H  0.2278  0.3047  0.3221  1 C 1.10
H  0.4697  0.4310  0.7621  1 C 1.10
H  0.9697  0.9310  0.7379  1 C 1.10
H  0.5303  0.5690  0.2379  1 C 1.10
H  0.0303  0.0690  0.2621  1 C 1.10
H  0.3113  0.4133  0.8016  1 C 1.10
H  0.8113  0.9133  0.6984  1 C 1.10
H  0.6887  0.5867  0.1984  1 C 1.10
H  0.1887  0.0867  0.3016  1 C 1.10
H  0.3344  0.4735  0.7275  1 C 1.10
H  0.8344  0.9735  0.7725  1 C 1.10
H  0.6656  0.5265  0.2725  1 C 1.10
H  0.1656  0.0265  0.2275  1 C 1.10
H  0.0440  0.1847  0.6987  1 C 1.10
H  0.5440  0.6847  0.8013  1 C 1.10
H  0.9560  0.8153  0.3013  1 C 1.10
H  0.4560  0.3153  0.1987  1 C 1.10
H  0.0686  0.3204  0.6884  1 C 1.10
H  0.5686  0.8204  0.8116  1 C 1.10
H  0.9314  0.6796  0.3116  1 C 1.10
H  0.4314  0.1796  0.1884  1 C 1.10
H  0.0616  0.2676  0.7642  1 C 1.10
H  0.5616  0.7676  0.7358  1 C 1.10
H  0.9384  0.7324  0.2358  1 C 1.10
H  0.4384  0.2324  0.2642  1 C 1.10
H  0.0268  0.1638  0.5818  1 C 1.10
H  0.5268  0.6638  0.9182  1 C 1.10
H  0.9732  0.8362  0.4182  1 C 1.10
H  0.4732  0.3362  0.0818  1 C 1.10
H  0.0319  0.0894  0.5140  1 C 1.10
H  0.5319  0.5894  0.9860  1 C 1.10
H  0.9681  0.9106  0.4860  1 C 1.10
H  0.4681  0.4106  0.0140  1 C 1.10
H  0.1055  0.2251  0.5131  1 C 1.10
H  0.6055  0.7251  0.9869  1 C 1.10
H  0.8945  0.7749  0.4869  1 C 1.10
H  0.3945  0.2749  0.0131  1 C 1.10
H  0.1615  0.0009  0.6495  1 C 1.10
H  0.6615  0.5009  0.8505  1 C 1.10
H  0.8385  0.9991  0.3505  1 C 1.10
H  0.3385  0.4991  0.1495  1 C 1.10
H  0.3110  0.9766  0.6166  1 C 1.10
H  0.8110  0.4766  0.8834  1 C 1.10
H  0.6890  0.0234  0.3834  1 C 1.10
H  0.1890  0.5234  0.1166  1 C 1.10
H  0.1539  0.9417  0.5755  1 C 1.10
H  0.6539  0.4417  0.9245  1 C 1.10
H  0.8461  0.0583  0.4245  1 C 1.10
H  0.3461  0.5583  0.0755  1 C 1.10
H  0.3664  0.1788  0.4610  1 C 1.10
H  0.8664  0.6788  0.0390  1 C 1.10
H  0.6336  0.8212  0.5390  1 C 1.10
H  0.1336  0.3212  0.9610  1 C 1.10
H  0.2742  0.0463  0.4646  1 C 1.10
H  0.7742  0.5463  0.0354  1 C 1.10
H  0.7258  0.9537  0.5354  1 C 1.10
H  0.2258  0.4537  0.9646  1 C 1.10
H  0.4393  0.0867  0.4984  1 C 1.10
H  0.9393  0.5867  0.0016  1 C 1.10
H  0.5607  0.9133  0.5016  1 C 1.10
H  0.0607  0.4133  0.9984  1 C 1.10
H  0.0974  0.4196  0.5917  1 C 1.10
H  0.5974  0.9196  0.9083  1 C 1.10
H  0.9026  0.5804  0.4083  1 C 1.10
H  0.4026  0.0804  0.0917  1 C 1.10
H  0.1289  0.4979  0.5240  1 C 1.10
H  0.6289  0.9979  0.9760  1 C 1.10
H  0.8711  0.5021  0.4760  1 C 1.10
H  0.3711  0.0021  0.0240  1 C 1.10
H  0.0108  0.5431  0.6457  1 C 1.10
H  0.5108  0.0431  0.8543  1 C 1.10
H  0.9892  0.4569  0.3543  1 C 1.10
H  0.4892  0.9569  0.1457  1 C 1.10
H  0.0027  0.6018  0.5734  1 C 1.10
H  0.5027  0.1018  0.9266  1 C 1.10
H  0.9973  0.3982  0.4266  1 C 1.10
H  0.4973  0.8982  0.0734  1 C 1.10
H  0.1823  0.6891  0.6740  1 C 1.10
H  0.6823  0.1891  0.8260  1 C 1.10
H  0.8177  0.3109  0.3260  1 C 1.10
H  0.3177  0.8109  0.1740  1 C 1.10
H  0.1926  0.7390  0.5982  1 C 1.10
H  0.6926  0.2390  0.9018  1 C 1.10
H  0.8074  0.2610  0.4018  1 C 1.10
H  0.3074  0.7610  0.0982  1 C 1.10
H  0.3907  0.6829  0.5802  1 C 1.10
H  0.8907  0.1829  0.9198  1 C 1.10
H  0.6093  0.3171  0.4198  1 C 1.10
H  0.1093  0.8171  0.0802  1 C 1.10
H  0.3815  0.6330  0.6568  1 C 1.10
H  0.8815  0.1330  0.8432  1 C 1.10
H  0.6185  0.3670  0.3432  1 C 1.10
H  0.1185  0.8670  0.1568  1 C 1.10
C  0.6114  0.1134  0.6708  3 H 1.10
C  0.1114  0.6134  0.8292  3 H 1.10
C  0.3886  0.8866  0.3292  3 H 1.10
C  0.8886  0.3866  0.1708  3 H 1.10
C  0.7150  0.2652  0.5674  3 H 1.10
C  0.2150  0.7652  0.9326  3 H 1.10
C  0.2850  0.7348  0.4326  3 H 1.10
C  0.7850  0.2348  0.0674  3 H 1.10
C  0.7069  0.3435  0.6980  3 H 1.10
C  0.2069  0.8435  0.8020  3 H 1.10
C  0.2931  0.6565  0.3020  3 H 1.10
C  0.7931  0.1565  0.1980  3 H 1.10
C  0.3188  0.1827  0.7777  3 H 1.10
C  0.8188  0.6827  0.7223  3 H 1.10
C  0.6812  0.8173  0.2223  3 H 1.10
C  0.1812  0.3173  0.2777  3 H 1.10
C  0.3588  0.4126  0.7559  3 H 1.10
C  0.8588  0.9126  0.7441  3 H 1.10
C  0.6412  0.5874  0.2441  3 H 1.10
C  0.1412  0.0874  0.2559  3 H 1.10
C  0.0974  0.2611  0.7165  3 H 1.10
C  0.5974  0.7611  0.7835  3 H 1.10
C  0.9026  0.7389  0.2835  3 H 1.10
C  0.4026  0.2389  0.2165  3 H 1.10
C  0.0894  0.1552  0.5418  3 H 1.10
C  0.5894  0.6552  0.9582  3 H 1.10
C  0.9106  0.8448  0.4582  3 H 1.10
C  0.4106  0.3448  0.0418  3 H 1.10
C  0.2176  0.0006  0.6062  3 H 1.10
C  0.7176  0.5006  0.8938  3 H 1.10
C  0.7824  0.9994  0.3938  3 H 1.10
C  0.2824  0.4994  0.1062  3 H 1.10
C  0.3442  0.1094  0.4902  3 H 1.10
C  0.8442  0.6094  0.0098  3 H 1.10
C  0.6558  0.8906  0.5098  3 H 1.10
C  0.1558  0.3906  0.9902  3 H 1.10
C  0.1387  0.4991  0.5748  2 H 1.10
C  0.6387  0.9991  0.9252  2 H 1.10
C  0.8613  0.5009  0.4252  2 H 1.10
C  0.3613  0.0009  0.0748  2 H 1.10
C  0.0723  0.5774  0.6055  2 H 1.10
C  0.5723  0.0774  0.8945  2 H 1.10
C  0.9277  0.4226  0.3945  2 H 1.10
C  0.4277  0.9226  0.1055  2 H 1.10
C  0.1915  0.6692  0.6252  2 H 1.10
C  0.6915  0.1692  0.8748  2 H 1.10
C  0.8085  0.3308  0.3748  2 H 1.10
C  0.3085  0.8308  0.1252  2 H 1.10
C  0.3226  0.6342  0.6143  2 H 1.10
C  0.8226  0.1342  0.8857  2 H 1.10
C  0.6774  0.3658  0.3857  2 H 1.10
C  0.1774  0.8658  0.1143  2 H 1.10
Cl  0.6222  0.5644  0.5476  2 Zn 2.41-2.43
Cl  0.1222  0.0644  0.9524  2 Zn 2.41-2.43
Cl  0.3778  0.4356  0.4524  2 Zn 2.41-2.43
Cl  0.8778  0.9356  0.0476  2 Zn 2.41-2.43
O  0.2819  0.5281  0.5916  2 C 1.45-1.46
O  0.7819  0.0281  0.9084  2 C 1.45-1.46
O  0.7181  0.4719  0.4084  2 C 1.45-1.46
O  0.2181  0.9719  0.0916  2 C 1.45-1.46

## Properties
Raw total energy: -5.110 eV/atom
Space group: P2_1/c, No. 14
Magnetization: 0.00 μB per cell
Formation energy: -13.27 eV/f.u.